## LiEr4Zr4O14 (GGA-PBE)

Data for a relaxed structure of LiEr4Zr4O14.

a = 3.518 Å, b = 7.631 Å, c = 11.183 Å
α = 90.00°, β = 90.00°, γ = 90.00°
Atoms (fractional coordinates):
1 Li 0.000 0.000 0.000
2 Er 0.000 0.000 0.295
3 Er 0.000 0.500 0.828
4 Er 0.500 0.257 0.541
5 Er 0.500 0.743 0.541
6 Zr 0.000 0.000 0.750
7 Zr 0.000 0.500 0.300
8 Zr 0.500 0.274 0.065
9 Zr 0.500 0.726 0.065
10 O 0.000 0.212 0.430
11 O 0.000 0.243 0.961
12 O 0.000 0.263 0.197
13 O 0.000 0.281 0.690
14 O 0.000 0.719 0.690
15 O 0.000 0.737 0.197
16 O 0.000 0.757 0.961
17 O 0.000 0.788 0.430
18 O 0.500 0.000 0.103
19 O 0.500 0.000 0.616
20 O 0.500 0.000 0.846
21 O 0.500 0.500 0.174
22 O 0.500 0.500 0.415
23 O 0.500 0.500 0.937

Calculated values
Energy relative to the elements   -3.62 eV/atom
Crystal system   orthorhombic
Space group   Pmm2 (25)
DFT total energy   -197.2 eV for the cell shown